1.
VASP calculation (PBE) on a relaxed SnO crystal.

For the formation energy, the calculation gives -1.50 eV/atom. As for the calculated volume: 19.094 A^3/atom.

a b c (Å): 4.5090 5.5657 12.1736
angles (deg): 90.00 90.00 90.00
Space group Cmc2_1 (No. 36)
Inequivalent atoms, fractional coordinates:
Sn1 0.0000 0.0278 0.0000
Sn2 0.0000 0.3764 0.7709
O1 0.0000 0.0047 0.3217
O2 0.0000 0.4073 0.9496

***

2.
VASP calculation (PBE) on a relaxed SnO crystal.

For the formation energy, the calculation gives -1.63 eV/atom. As for the calculated volume: 18.821 A^3/atom.

a b c (Å): 3.8706 3.8706 5.0252
angles (deg): 90.00 90.00 90.00
Space group P4/nmm (No. 129, origin choice 2)
Inequivalent atoms, fractional coordinates:
Sn1 0.2500 0.2500 0.2313
O1 0.2500 0.7500 0.0000